VASP calculation (PBE-GGA) on MnGe7N10 after structural relaxation.

abc: 7.014 7.339 10.300
angles: 90.00 104.33 90.00
Element x y z (fractional)
Mn (0.000, 0.078, 0.000)
Mn (0.000, 0.922, 0.500)
Ge (0.123, 0.395, 0.870)
Ge (0.123, 0.605, 0.370)
Ge (0.314, 0.378, 0.178)
Ge (0.314, 0.622, 0.678)
Ge (0.345, 0.021, 0.816)
Ge (0.345, 0.979, 0.316)
Ge (0.501, 0.362, 0.482)
Ge (0.501, 0.638, 0.982)
Ge (0.552, 0.022, 0.119)
Ge (0.552, 0.978, 0.619)
Ge (0.671, 0.356, 0.791)
Ge (0.671, 0.644, 0.291)
Ge (0.853, 0.386, 0.110)
Ge (0.853, 0.614, 0.610)
N (0.091, 0.430, 0.236)
N (0.091, 0.570, 0.736)
N (0.139, 0.146, 0.848)
N (0.139, 0.854, 0.348)
N (0.310, 0.125, 0.156)
N (0.310, 0.485, 0.017)
N (0.310, 0.515, 0.517)
N (0.310, 0.875, 0.656)
N (0.451, 0.119, 0.467)
N (0.451, 0.881, 0.967)
N (0.522, 0.446, 0.317)
N (0.522, 0.554, 0.817)
N (0.553, 0.134, 0.764)
N (0.553, 0.866, 0.264)
N (0.720, 0.402, 0.623)
N (0.720, 0.598, 0.123)
N (0.772, 0.145, 0.101)
N (0.772, 0.855, 0.601)
N (0.895, 0.376, 0.933)
N (0.895, 0.624, 0.433)

Crystal system ... monoclinic
Total moment ... 5.001 μB/f.u.
Space-group type ... No. 7
Calculated total energy ... -6.8367 eV/atom
Formation energy from the elements ... -0.0991 eV per atom